i) # Na2Fe3P3O12

Crystalline Na2Fe3P3O12 at its relaxed geometry (PBE with a Hubbard U, the Materials Project).

Unit cell a=8.693 b=8.693 c=6.613 alpha=73.65 beta=73.65 gamma=93.43
Fractional positions:
Na: 0.984 0.016 0.750
Na: 0.016 0.984 0.250
Na: 0.500 0.500 0.500
Na: 0.500 0.500 0.000
Fe: 0.944 0.619 0.625
Fe: 0.619 0.944 0.125
Fe: 0.056 0.381 0.375
Fe: 0.730 0.270 0.250
Fe: 0.270 0.730 0.750
Fe: 0.381 0.056 0.875
P: 0.125 0.342 0.883
P: 0.658 0.875 0.617
P: 0.291 0.709 0.250
P: 0.342 0.125 0.383
P: 0.709 0.291 0.750
P: 0.875 0.658 0.117
O: 0.605 0.956 0.805
O: 0.264 0.531 0.255
O: 0.528 0.729 0.667
O: 0.956 0.605 0.305
O: 0.271 0.472 0.833
O: 0.323 0.996 0.612
O: 0.531 0.264 0.755
O: 0.830 0.828 0.606
O: 0.677 0.004 0.388
O: 0.262 0.822 0.038
O: 0.996 0.323 0.112
O: 0.828 0.830 0.106
O: 0.472 0.271 0.333
O: 0.044 0.395 0.695
O: 0.736 0.469 0.745
O: 0.004 0.677 0.888
O: 0.469 0.736 0.245
O: 0.395 0.044 0.195
O: 0.172 0.170 0.894
O: 0.738 0.178 0.962
O: 0.170 0.172 0.394
O: 0.178 0.738 0.462
O: 0.822 0.262 0.538
O: 0.729 0.528 0.167

---

ii) # Na2Fe3P3O12

Crystalline Na2Fe3P3O12 at its relaxed geometry (PBE with a Hubbard U, the Materials Project).

Unit cell a=5.010 b=12.133 c=16.080 alpha=80.76 beta=90.00 gamma=90.00
Fractional positions:
Na: 0.515 0.140 0.842
Na: 0.985 0.140 0.342
Na: 0.485 0.860 0.158
Na: 0.015 0.860 0.658
Na: 0.502 0.334 0.663
Na: 0.998 0.334 0.163
Na: 0.498 0.666 0.337
Na: 0.002 0.666 0.837
Fe: 0.518 0.940 0.345
Fe: 0.982 0.940 0.845
Fe: 0.482 0.060 0.655
Fe: 0.018 0.060 0.155
Fe: 0.516 0.603 0.677
Fe: 0.984 0.603 0.177
Fe: 0.484 0.397 0.323
Fe: 0.016 0.397 0.823
Fe: 0.496 0.725 0.991
Fe: 0.004 0.725 0.491
Fe: 0.504 0.275 0.009
Fe: 0.996 0.275 0.509
P: 0.057 0.820 0.288
P: 0.443 0.820 0.788
P: 0.943 0.180 0.712
P: 0.557 0.180 0.212
P: 0.934 0.842 0.046
P: 0.566 0.842 0.546
P: 0.066 0.158 0.954
P: 0.434 0.158 0.454
P: 0.054 0.487 0.615
P: 0.446 0.487 0.115
P: 0.946 0.513 0.385
P: 0.554 0.513 0.885
O: 0.751 0.828 0.288
O: 0.749 0.828 0.788
O: 0.249 0.172 0.712
O: 0.251 0.172 0.212
O: 0.238 0.826 0.040
O: 0.262 0.826 0.540
O: 0.762 0.174 0.960
O: 0.738 0.174 0.460
O: 0.751 0.490 0.621
O: 0.749 0.490 0.121
O: 0.249 0.510 0.379
O: 0.251 0.510 0.879
O: 0.370 0.062 0.406
O: 0.130 0.062 0.906
O: 0.630 0.938 0.594
O: 0.870 0.938 0.094
O: 0.649 0.610 0.932
O: 0.851 0.610 0.432
O: 0.351 0.390 0.068
O: 0.149 0.390 0.568
O: 0.342 0.732 0.735
O: 0.158 0.732 0.235
O: 0.658 0.268 0.265
O: 0.842 0.268 0.765
O: 0.179 0.792 0.379
O: 0.321 0.792 0.879
O: 0.821 0.208 0.621
O: 0.679 0.208 0.121
O: 0.805 0.066 0.749
O: 0.695 0.066 0.249
O: 0.195 0.934 0.251
O: 0.305 0.934 0.751
O: 0.196 0.466 0.704
O: 0.304 0.466 0.204
O: 0.804 0.534 0.296
O: 0.696 0.534 0.796
O: 0.784 0.733 0.090
O: 0.716 0.733 0.590
O: 0.216 0.267 0.910
O: 0.284 0.267 0.410
O: 0.209 0.143 0.042
O: 0.291 0.143 0.542
O: 0.791 0.857 0.958
O: 0.709 0.857 0.458
O: 0.820 0.399 0.427
O: 0.680 0.399 0.927
O: 0.180 0.601 0.573
O: 0.320 0.601 0.073

---

The structure with the most favorable energy is i); the runner-up is 0.6 kJ/mol of atoms above it.

---

i) # Li5Mn3O8

Crystalline Li5Mn3O8 at its relaxed geometry (PBE with a Hubbard U, the Materials Project).

Unit cell a=5.075 b=10.498 c=5.852 alpha=97.09 beta=104.57 gamma=103.97
Fractional positions:
Li: 0.750 0.750 0.625
Li: 0.750 0.750 0.125
Li: 0.637 0.123 0.192
Li: 0.637 0.123 0.692
Li: 0.863 0.377 0.558
Li: 0.863 0.377 0.058
Li: 0.138 0.640 0.453
Li: 0.138 0.640 0.953
Li: 0.362 0.860 0.797
Li: 0.362 0.860 0.297
Mn: 0.250 0.250 0.375
Mn: 0.250 0.250 0.875
Mn: 0.999 0.990 0.993
Mn: 0.000 0.990 0.493
Mn: 0.500 0.510 0.257
Mn: 0.501 0.510 0.757
O: 0.281 0.060 0.324
O: 0.280 0.060 0.823
O: 0.219 0.440 0.426
O: 0.220 0.440 0.927
O: 0.547 0.318 0.233
O: 0.547 0.318 0.734
O: 0.953 0.182 0.517
O: 0.953 0.182 0.016
O: 0.768 0.554 0.576
O: 0.768 0.554 0.076
O: 0.732 0.946 0.674
O: 0.732 0.946 0.174
O: 0.069 0.828 0.474
O: 0.069 0.828 0.974
O: 0.431 0.672 0.776
O: 0.431 0.672 0.276

---

ii) # Li5Mn3O8

Crystalline Li5Mn3O8 at its relaxed geometry (PBE with a Hubbard U, the Materials Project).

Unit cell a=5.054 b=5.772 c=5.915 alpha=60.86 beta=74.21 gamma=73.42
Fractional positions:
Li: 0.506 0.753 0.250
Li: 0.491 0.763 0.739
Li: 0.494 0.247 0.750
Li: 0.509 0.237 0.261
Li: 0.000 0.000 0.500
Mn: 0.000 0.000 0.000
Mn: 0.000 0.500 0.500
Mn: 0.000 0.500 0.000
O: 0.776 0.862 0.889
O: 0.780 0.867 0.353
O: 0.781 0.392 0.351
O: 0.765 0.356 0.904
O: 0.219 0.608 0.649
O: 0.235 0.644 0.096
O: 0.224 0.138 0.111
O: 0.220 0.133 0.647

---

The structure with the most favorable energy is ii); the runner-up is 2.5 kJ/mol of atoms above it.

---

i) # Li5Mn3O8

Crystalline Li5Mn3O8 at its relaxed geometry (PBE with a Hubbard U, the Materials Project).

Unit cell a=5.136 b=10.203 c=5.769 alpha=106.51 beta=90.01 gamma=81.31
Fractional positions:
Li: 0.250 0.250 0.625
Li: 0.250 0.250 0.125
Li: 0.750 0.750 0.875
Li: 0.750 0.750 0.375
Li: 0.750 0.250 0.375
Li: 0.750 0.250 0.875
Li: 0.003 0.488 0.491
Li: 0.003 0.489 0.991
Li: 0.497 0.011 0.258
Li: 0.497 0.012 0.759
Mn: 0.250 0.750 0.625
Mn: 0.250 0.750 0.125
Mn: 0.972 0.010 0.007
Mn: 0.972 0.010 0.508
Mn: 0.528 0.490 0.743
Mn: 0.528 0.490 0.243
O: 0.108 0.110 0.308
O: 0.108 0.110 0.808
O: 0.392 0.390 0.442
O: 0.392 0.390 0.942
O: 0.851 0.384 0.189
O: 0.851 0.385 0.690
O: 0.649 0.115 0.560
O: 0.649 0.116 0.061
O: 0.630 0.610 0.553
O: 0.629 0.611 0.053
O: 0.870 0.890 0.697
O: 0.871 0.889 0.197
O: 0.338 0.871 0.437
O: 0.338 0.871 0.937
O: 0.162 0.629 0.814
O: 0.162 0.629 0.313

---

ii) # Li5Mn3O8

Crystalline Li5Mn3O8 at its relaxed geometry (PBE with a Hubbard U, the Materials Project).

Unit cell a=3.078 b=3.078 c=19.832 alpha=83.97 beta=83.97 gamma=55.82
Fractional positions:
Li: 0.769 0.769 0.612
Li: 0.231 0.231 0.388
Li: 0.750 0.750 0.125
Li: 0.250 0.250 0.875
Li: 0.500 0.500 0.500
Mn: 0.005 0.005 0.749
Mn: 0.995 0.995 0.251
Mn: 0.500 0.500 0.000
O: 0.379 0.379 0.697
O: 0.885 0.885 0.436
O: 0.387 0.387 0.192
O: 0.894 0.894 0.942
O: 0.115 0.115 0.564
O: 0.621 0.621 0.303
O: 0.106 0.106 0.058
O: 0.613 0.613 0.808

---

iii) # Li5Mn3O8

Crystalline Li5Mn3O8 at its relaxed geometry (PBE with a Hubbard U, the Materials Project).

Unit cell a=5.880 b=5.880 c=5.166 alpha=71.57 beta=71.57 gamma=58.55
Fractional positions:
Li: 0.500 0.000 0.000
Li: 0.000 0.500 0.000
Li: 0.747 0.747 0.507
Li: 0.253 0.253 0.493
Li: 0.500 0.500 0.000
Mn: 0.000 0.000 0.000
Mn: 0.253 0.747 0.500
Mn: 0.747 0.253 0.500
O: 0.347 0.867 0.742
O: 0.867 0.347 0.742
O: 0.615 0.615 0.281
O: 0.119 0.119 0.277
O: 0.653 0.133 0.258
O: 0.133 0.653 0.258
O: 0.881 0.881 0.723
O: 0.385 0.385 0.719

---

The structure with the most favorable energy is iii); the runner-up is 2.4 kJ/mol of atoms above it.